DFT (r2SCAN) results for an optimized crystal structure of UAsS.

Cell: 3.904 3.904 8.385 Å, 90.00 90.00 90.00°
Atoms (fractional coordinates):
U  0.000  0.500  0.719
U  0.500  0.000  0.281
S  0.500  0.000  0.629
As  0.500  0.500  0.000
S  0.000  0.500  0.371
As  0.000  0.000  0.000

Computed properties:
Total DFT energy (no corrections), eV per cell: -214.26
Space group: P4/nmm
Energy of formation, meV/atom: -1482